Entry w
This record from the Materials Project describes Se after structural relaxation. The functional is meta-GGA r2SCAN.

Spin magnetization = 0.00 Bohr magnetons per cell
Space group = P2_12_12, No. 18

Lattice parameters (Å, degrees): 4.8682 7.9093 2.7402 90.00 89.97 90.00
Fractional positions:
Se (0.4237, 0.2140, 0.2358)
Se (0.0756, 0.0160, 0.2366)
Se (0.5763, 0.7140, 0.7642)
Se (0.9244, 0.5160, 0.7634)



Entry x
This record from the Materials Project describes Se after structural relaxation. The functional is meta-GGA r2SCAN.

Spin magnetization = 0.00 Bohr magnetons per cell
Space group = P2_1/c, No. 14

Lattice parameters (Å, degrees): 9.2633 9.5829 11.8434 90.00 90.56 90.00
Fractional positions:
Se (0.8480, 0.7291, 0.3323)
Se (0.8177, 0.8647, 0.0370)
Se (0.4187, 0.9688, 0.7294)
Se (0.9172, 0.6907, 0.5197)
Se (0.5828, 0.1907, 0.9803)
Se (0.3695, 0.0967, 0.3627)
Se (0.0828, 0.3093, 0.4803)
Se (0.1823, 0.1353, 0.9630)
Se (0.3480, 0.7709, 0.8323)
Se (0.1305, 0.5967, 0.1373)
Se (0.1361, 0.8061, 0.5533)
Se (0.4212, 0.6563, 0.3582)
Se (0.4172, 0.8093, 0.0197)
Se (0.8695, 0.4033, 0.8627)
Se (0.3178, 0.4886, 0.2383)
Se (0.8178, 0.0114, 0.7383)
Se (0.6361, 0.6939, 0.0533)
Se (0.9212, 0.8437, 0.8582)
Se (0.5813, 0.0312, 0.2706)
Se (0.6822, 0.5114, 0.7617)
Se (0.1520, 0.2709, 0.6677)
Se (0.3639, 0.3061, 0.9467)
Se (0.0788, 0.1563, 0.1418)
Se (0.8639, 0.1939, 0.4467)
Se (0.6520, 0.2291, 0.1677)
Se (0.6305, 0.9033, 0.6373)
Se (0.5788, 0.3437, 0.6418)
Se (0.6823, 0.3647, 0.4630)
Se (0.9187, 0.5312, 0.2294)
Se (0.1822, 0.9886, 0.2617)
Se (0.0813, 0.4688, 0.7706)
Se (0.3177, 0.6353, 0.5370)



Least stable: entry w



Entry w
This record from the Materials Project describes Se after structural relaxation. The functional is meta-GGA r2SCAN.

Spin magnetization = 0.00 Bohr magnetons per cell
Space group = Pm-3m, No. 221

Lattice parameters (Å, degrees): 2.8106 2.8106 2.8106 90.00 90.00 90.00
Fractional positions:
Se (0.0000, 0.0000, 0.0000)



Entry x
This record from the Materials Project describes Se after structural relaxation. The functional is meta-GGA r2SCAN.

Spin magnetization = 0.00 Bohr magnetons per cell
Space group = R-3, No. 148

Lattice parameters (Å, degrees): 6.7265 6.7265 6.7265 114.44 114.44 114.44
Fractional positions:
Se (0.2741, 0.1509, 0.9073)
Se (0.0927, 0.7259, 0.8491)
Se (0.9073, 0.2741, 0.1509)
Se (0.1509, 0.9073, 0.2741)
Se (0.7259, 0.8491, 0.0927)
Se (0.8491, 0.0927, 0.7259)



Entry y
This record from the Materials Project describes Se after structural relaxation. The functional is meta-GGA r2SCAN.

Spin magnetization = 0.00 Bohr magnetons per cell
Space group = P2_1/c, No. 14

Lattice parameters (Å, degrees): 8.2721 9.6306 13.2803 93.36 90.00 90.00
Fractional positions:
Se (0.5264, 0.6685, 0.2888)
Se (0.5890, 0.0587, 0.3591)
Se (0.8293, 0.1640, 0.4171)
Se (0.6707, 0.1640, 0.9171)
Se (0.7298, 0.7576, 0.0223)
Se (0.7444, 0.3629, 0.6651)
Se (0.2444, 0.6371, 0.8349)
Se (0.0264, 0.3315, 0.2112)
Se (0.0890, 0.9413, 0.1409)
Se (0.6639, 0.1494, 0.0936)
Se (0.2556, 0.6371, 0.3349)
Se (0.0964, 0.2379, 0.8373)
Se (0.9110, 0.0587, 0.8591)
Se (0.1707, 0.8360, 0.5829)
Se (0.3361, 0.8506, 0.9064)
Se (0.4036, 0.2379, 0.3373)
Se (0.5964, 0.7621, 0.6627)
Se (0.8103, 0.5731, 0.9113)
Se (0.2298, 0.2424, 0.4777)
Se (0.3103, 0.4269, 0.5887)
Se (0.6897, 0.5731, 0.4113)
Se (0.3293, 0.8360, 0.0829)
Se (0.1897, 0.4269, 0.0887)
Se (0.2702, 0.2424, 0.9777)
Se (0.4110, 0.9413, 0.6409)
Se (0.7556, 0.3629, 0.1651)
Se (0.4736, 0.3315, 0.7112)
Se (0.9736, 0.6685, 0.7888)
Se (0.7702, 0.7576, 0.5223)
Se (0.1639, 0.8506, 0.4064)
Se (0.8361, 0.1494, 0.5936)
Se (0.9036, 0.7621, 0.1627)



Entry z
This record from the Materials Project describes Se after structural relaxation. The functional is meta-GGA r2SCAN.

Spin magnetization = 0.00 Bohr magnetons per cell
Space group = Cmcm, No. 63

Lattice parameters (Å, degrees): 2.7885 4.2729 4.6134 90.00 90.00 109.04
Fractional positions:
Se (0.0643, 0.1287, 0.2500)
Se (0.9357, 0.8713, 0.7500)



Least stable: entry w



Entry w
This record from the Materials Project describes Ti3Se4 after structural relaxation. The functional is meta-GGA r2SCAN.

Spin magnetization = 0.83 Bohr magnetons per cell
Space group = C2/m, No. 12

Lattice parameters (Å, degrees): 3.6046 6.4772 7.0482 116.66 104.82 90.00
Fractional positions:
Se (0.6350, 0.9709, 0.2701)
Se (0.1124, 0.4520, 0.2247)
Se (0.3650, 0.0291, 0.7299)
Se (0.8876, 0.5480, 0.7753)
Ti (0.0000, 0.0000, 0.0000)
Ti (0.7475, 0.7035, 0.4950)
Ti (0.2525, 0.2965, 0.5050)



Entry x
This record from the Materials Project describes Ti3Se4 after structural relaxation. The functional is meta-GGA r2SCAN.

Spin magnetization = 0.00 Bohr magnetons per cell
Space group = P6_3/m, No. 176

Lattice parameters (Å, degrees): 9.9012 9.9012 3.5763 90.00 90.00 120.00
Fractional positions:
Se (0.3333, 0.6667, 0.2500)
Se (0.6969, 0.6481, 0.2500)
Se (0.3031, 0.3519, 0.7500)
Se (0.0488, 0.6969, 0.7500)
Se (0.6481, 0.9512, 0.7500)
Se (0.3519, 0.0488, 0.2500)
Se (0.6667, 0.3333, 0.7500)
Se (0.9512, 0.3031, 0.2500)
Ti (0.5110, 0.6422, 0.7500)
Ti (0.3578, 0.8688, 0.7500)
Ti (0.4890, 0.3578, 0.2500)
Ti (0.8688, 0.5110, 0.2500)
Ti (0.1312, 0.4890, 0.7500)
Ti (0.6422, 0.1312, 0.2500)



Least stable: entry w



Entry w
This record from the Materials Project describes U3Si after structural relaxation. The functional is meta-GGA r2SCAN.

Spin magnetization = 3.44 Bohr magnetons per cell
Space group = Fmmm, No. 69

Lattice parameters (Å, degrees): 6.0095 6.0094 6.0030 120.35 120.35 89.42
Fractional positions:
U (0.7500, 0.2500, 0.5001)
U (0.2500, 0.7500, 0.4999)
U (0.2213, 0.7213, 0.9427)
U (0.7787, 0.2787, 0.0573)
U (0.7215, 0.7785, 0.5000)
U (0.2784, 0.2215, 0.5000)
Si (0.2501, 0.2499, 0.0000)
Si (0.7499, 0.7501, 0.0000)



Entry x
This record from the Materials Project describes U3Si after structural relaxation. The functional is meta-GGA r2SCAN.

Spin magnetization = 0.03 Bohr magnetons per cell
Space group = Pm-3m, No. 221

Lattice parameters (Å, degrees): 4.2404 4.2405 4.2395 90.00 90.00 90.00
Fractional positions:
Si (0.0000, 0.0000, 0.0000)
U (0.5000, 0.5000, 0.0000)
U (0.5000, 0.0000, 0.5000)
U (0.0000, 0.5000, 0.5000)



Least stable: entry x



Entry w
This record from the Materials Project describes Sm after structural relaxation. The functional is meta-GGA r2SCAN.

Spin magnetization = 0.00 Bohr magnetons per cell
Space group = R-3m, No. 166

Lattice parameters (Å, degrees): 9.0144 9.0144 9.0144 23.46 23.46 23.46
Fractional positions:
Sm (0.0000, 0.0000, 0.0000)
Sm (0.7775, 0.7775, 0.7775)
Sm (0.2225, 0.2225, 0.2225)



Entry x
This record from the Materials Project describes Sm after structural relaxation. The functional is meta-GGA r2SCAN.

Spin magnetization = 0.00 Bohr magnetons per cell
Space group = I4/mmm, No. 139

Lattice parameters (Å, degrees): 3.6346 3.6346 3.6282 120.06 120.06 90.00
Fractional positions:
Sm (0.0000, 0.0000, 0.0000)



Least stable: entry x



Entry w
This record from the Materials Project describes Tb3Sm after structural relaxation. The functional is meta-GGA r2SCAN.

Spin magnetization = 4.84 Bohr magnetons per cell
Space group = P6_3/mmc, No. 194

Lattice parameters (Å, degrees): 7.2935 7.2935 5.8368 90.00 90.00 120.00
Fractional positions:
Tb (0.3315, 0.1657, 0.7500)
Tb (0.1657, 0.8343, 0.2500)
Tb (0.8343, 0.6685, 0.7500)
Tb (0.6685, 0.8343, 0.2500)
Tb (0.1657, 0.3315, 0.2500)
Tb (0.8343, 0.1657, 0.7500)
Sm (0.6667, 0.3333, 0.2500)
Sm (0.3333, 0.6667, 0.7500)



Entry x
This record from the Materials Project describes Tb3Sm after structural relaxation. The functional is meta-GGA r2SCAN.

Spin magnetization = 0.00 Bohr magnetons per cell
Space group = I4/mmm, No. 139

Lattice parameters (Å, degrees): 6.2035 6.2035 6.2035 131.80 131.80 70.54
Fractional positions:
Tb (0.2500, 0.7500, 0.5000)
Tb (0.5000, 0.5000, 0.0000)
Tb (0.7500, 0.2500, 0.5000)
Sm (0.0000, 0.0000, 0.0000)



Least stable: entry x



Entry w
This record from the Materials Project describes Sm3Tm after structural relaxation. The functional is meta-GGA r2SCAN.

Spin magnetization = 0.00 Bohr magnetons per cell
Space group = Pm-3m, No. 221

Lattice parameters (Å, degrees): 5.0875 5.0843 5.0849 90.00 90.00 90.00
Fractional positions:
Sm (0.0000, 0.5000, 0.5000)
Sm (0.5000, 0.5000, 0.0000)
Sm (0.5000, 0.0000, 0.5000)
Tm (0.0000, 0.0000, 0.0000)



Entry x
This record from the Materials Project describes Sm3Tm after structural relaxation. The functional is meta-GGA r2SCAN.

Spin magnetization = 4.68 Bohr magnetons per cell
Space group = P6_3/mmc, No. 194

Lattice parameters (Å, degrees): 7.3233 7.3233 5.8385 90.00 90.00 120.00
Fractional positions:
Sm (0.1695, 0.8305, 0.2500)
Sm (0.3390, 0.1695, 0.7500)
Sm (0.8305, 0.6610, 0.7500)
Sm (0.1695, 0.3390, 0.2500)
Sm (0.8305, 0.1695, 0.7500)
Sm (0.6610, 0.8305, 0.2500)
Tm (0.6667, 0.3333, 0.2500)
Tm (0.3333, 0.6667, 0.7500)



Least stable: entry w



Entry w
This record from the Materials Project describes YbSm3 after structural relaxation. The functional is meta-GGA r2SCAN.

Spin magnetization = 2.59 Bohr magnetons per cell
Space group = P6_3/mmc, No. 194

Lattice parameters (Å, degrees): 7.3346 7.3346 5.7527 90.00 90.00 120.00
Fractional positions:
Sm (0.8316, 0.1684, 0.7500)
Sm (0.6633, 0.8316, 0.2500)
Sm (0.1684, 0.8316, 0.2500)
Sm (0.1684, 0.3367, 0.2500)
Sm (0.3367, 0.1684, 0.7500)
Sm (0.8316, 0.6633, 0.7500)
Yb (0.6667, 0.3333, 0.2500)
Yb (0.3333, 0.6667, 0.7500)



Entry x
This record from the Materials Project describes YbSm3 after structural relaxation. The functional is meta-GGA r2SCAN.

Spin magnetization = 0.00 Bohr magnetons per cell
Space group = I4/mmm, No. 139

Lattice parameters (Å, degrees): 6.2010 6.2010 6.2010 131.53 131.53 70.98
Fractional positions:
Yb (0.0000, 0.0000, 0.0000)
Sm (0.2500, 0.7500, 0.5000)
Sm (0.7500, 0.2500, 0.5000)
Sm (0.5000, 0.5000, 0.0000)



Least stable: entry x